Li7Mn4P8O28 | GGA+U | relaxed

Unit cell a=9.9119 b=9.9483 c=11.3789 alpha=77.06 beta=89.98 gamma=89.95
Last column: nearest neighbours and their distance in Å.
Sites, in units of the cell vectors:
Li  0.0000  0.0000  0.0000  3 O 1.92-2.00
Li  0.0080  0.0245  0.4937  3 O 1.95-2.09
Li  0.0301  0.5856  0.4745  4 O 1.86-2.02
Li  0.1410  0.2866  0.0029  3 O 1.96-2.09
Li  0.2017  0.7867  0.0015  4 O 2.00-2.22
Li  0.3136  0.0866  0.4834  4 O 1.93-2.01
Li  0.3428  0.5032  0.9972  3 O 1.91-1.98
Li  0.5001  0.8471  0.9026  3 O 1.92-2.00
Li  0.5081  0.8224  0.4088  3 O 1.95-2.09
Li  0.5303  0.2613  0.4279  4 O 1.86-2.02
Li  0.6408  0.5605  0.8995  3 O 1.96-2.08
Li  0.7016  0.0606  0.9011  4 O 2.00-2.22
Li  0.8134  0.7602  0.4193  4 O 1.93-2.01
Li  0.8426  0.3446  0.9048  3 O 1.91-1.98
Mn  0.1338  0.4132  0.2755  4 O 1.96-2.12
Mn  0.2049  0.9125  0.2787  5 O 2.13-2.25
Mn  0.3387  0.3803  0.7708  5 O 2.07-2.23
Mn  0.4993  0.9684  0.1280  6 O 2.15-2.31
Mn  0.6340  0.4337  0.6270  4 O 1.96-2.13
Mn  0.7050  0.9343  0.6240  5 O 2.13-2.24
Mn  0.8389  0.4667  0.1314  5 O 2.07-2.23
Mn  0.9994  0.8787  0.7747  6 O 2.15-2.30
P  0.0699  0.5505  0.8784  4 O 1.52-1.63
P  0.1277  0.2936  0.5584  4 O 1.51-1.64
P  0.2156  0.7906  0.5614  4 O 1.49-1.65
P  0.2714  0.0524  0.8799  4 O 1.53-1.62
P  0.3539  0.2325  0.2098  4 O 1.51-1.62
P  0.3685  0.6435  0.2107  4 O 1.52-1.60
P  0.4730  0.6987  0.6895  4 O 1.52-1.60
P  0.4890  0.1157  0.6980  4 O 1.51-1.62
P  0.5698  0.2966  0.0240  4 O 1.52-1.63
P  0.6277  0.5532  0.3440  4 O 1.51-1.64
P  0.7160  0.0564  0.3411  4 O 1.49-1.65
P  0.7713  0.7947  0.0225  4 O 1.52-1.62
P  0.8540  0.6144  0.6928  4 O 1.51-1.62
P  0.8687  0.2033  0.6920  4 O 1.52-1.60
P  0.9733  0.1483  0.2130  4 O 1.52-1.60
P  0.9888  0.7313  0.2045  4 O 1.51-1.62
O  0.0082  0.5858  0.1800  1 P 1.55
O  0.0094  0.2817  0.6615  2 P 1.60-1.64
O  0.0121  0.1468  0.0840  1 P 1.52
O  0.0595  0.0574  0.3113  1 P 1.53
O  0.0732  0.4016  0.4464  1 P 1.57
O  0.0804  0.6971  0.8973  1 P 1.52
O  0.0929  0.8362  0.1349  1 P 1.55
O  0.0980  0.8638  0.6097  1 P 1.54
O  0.1322  0.9872  0.8718  1 P 1.54
O  0.1426  0.1540  0.5281  1 P 1.51
O  0.1850  0.6569  0.5290  1 P 1.49
O  0.2098  0.4860  0.8711  1 P 1.54
O  0.2472  0.3408  0.1437  1 P 1.58
O  0.2471  0.3459  0.6165  1 P 1.51
O  0.2615  0.1990  0.8991  1 P 1.53
O  0.2617  0.5576  0.2939  1 P 1.54
O  0.2901  0.8944  0.4576  1 P 1.57
O  0.3218  0.7568  0.6760  2 P 1.60-1.65
O  0.3313  0.0895  0.1824  1 P 1.54
O  0.3416  0.0607  0.7496  2 P 1.62
O  0.3434  0.6523  0.0771  1 P 1.52
O  0.3574  0.2360  0.3417  1 P 1.51
O  0.3578  0.9504  0.9713  1 P 1.54
O  0.3809  0.7884  0.2408  1 P 1.56
O  0.4733  0.5464  0.6699  1 P 1.58
O  0.4840  0.3994  0.9334  1 P 1.54
O  0.4862  0.1092  0.5665  1 P 1.51
O  0.4990  0.2876  0.1546  2 P 1.62-1.63
O  0.5080  0.2612  0.7226  1 P 1.55
O  0.5096  0.5654  0.2408  2 P 1.60-1.64
O  0.5116  0.7003  0.8184  1 P 1.52
O  0.5593  0.7896  0.5913  1 P 1.53
O  0.5732  0.4453  0.4559  1 P 1.57
O  0.5800  0.1500  0.0049  1 P 1.52
O  0.5932  0.0107  0.7676  1 P 1.55
O  0.5984  0.9832  0.2928  1 P 1.54
O  0.6323  0.8604  0.0306  1 P 1.54
O  0.6425  0.6929  0.3745  1 P 1.51
O  0.6854  0.1901  0.3734  1 P 1.49
O  0.7098  0.3606  0.0314  1 P 1.54
O  0.7473  0.5010  0.2859  1 P 1.51
O  0.7475  0.5060  0.7592  1 P 1.58
O  0.7612  0.6482  0.0034  1 P 1.52
O  0.7616  0.2885  0.6088  1 P 1.54
O  0.7904  0.9525  0.4450  1 P 1.57
O  0.8222  0.0900  0.2264  2 P 1.60-1.65
O  0.8312  0.7574  0.7201  1 P 1.54
O  0.8414  0.7862  0.1528  2 P 1.62
O  0.8437  0.1947  0.8256  1 P 1.52
O  0.8571  0.6105  0.5609  1 P 1.51
O  0.8581  0.8965  0.9312  1 P 1.54
O  0.8815  0.0582  0.6621  1 P 1.56
O  0.9733  0.3005  0.2327  1 P 1.58
O  0.9839  0.4480  0.9690  1 P 1.54
O  0.9859  0.7378  0.3360  1 P 1.51
O  0.9992  0.5594  0.7478  2 P 1.62-1.63

Values from the calculation:
- Distance to the lowest polymorph of the same formula: 4.4 meV/atom
- E (MP2020): -355.5 eV/f.u.
- Calculated total energy: -7.0120 eV/atom

Li7Fe4P8O28 | GGA+U | relaxed

Unit cell a=9.8713 b=9.8795 c=11.2099 alpha=77.73 beta=89.98 gamma=89.78
Last column: nearest neighbours and their distance in Å.
Sites, in units of the cell vectors:
Li  0.0000  0.0000  0.0000  3 O 2.00-2.08
Li  0.0115  0.4297  0.0124  4 O 1.90-1.97
Li  0.1272  0.7256  0.4897  4 O 1.94-2.15
Li  0.1848  0.2420  0.4888  3 O 1.89-2.05
Li  0.3004  0.9323  0.0134  4 O 1.92-1.98
Li  0.3166  0.4922  0.0013  3 O 1.97-2.10
Li  0.4775  0.1827  0.5788  3 O 1.86-2.02
Li  0.5147  0.7578  0.0710  4 O 1.89-1.97
Li  0.6191  0.4584  0.5910  3 O 1.93-2.04
Li  0.6863  0.9575  0.5920  4 O 1.94-2.17
Li  0.7952  0.2585  0.0695  4 O 1.84-2.00
Li  0.8114  0.6922  0.0872  3 O 1.96-2.10
Li  0.8272  0.6724  0.5885  3 O 1.91-2.00
Li  0.9844  0.0162  0.4943  3 O 1.90-2.00
Fe  0.1217  0.5932  0.2218  5 O 2.09-2.25
Fe  0.1962  0.1019  0.2174  5 O 2.05-2.22
Fe  0.3319  0.6388  0.7103  6 O 1.96-2.12
Fe  0.4830  0.0505  0.3576  5 O 1.93-2.08
Fe  0.6185  0.5871  0.8653  5 O 2.11-2.27
Fe  0.6870  0.0899  0.8712  5 O 2.03-2.26
Fe  0.8280  0.5459  0.3651  6 O 2.09-2.32
Fe  0.9793  0.1458  0.7172  6 O 2.10-2.31
P  0.0581  0.4696  0.6193  4 O 1.52-1.62
P  0.1119  0.7241  0.9279  4 O 1.51-1.62
P  0.1991  0.2243  0.9317  4 O 1.51-1.63
P  0.2580  0.9662  0.6148  4 O 1.53-1.61
P  0.3360  0.7863  0.2851  4 O 1.51-1.62
P  0.3605  0.3683  0.2877  4 O 1.50-1.61
P  0.4528  0.3187  0.7993  4 O 1.51-1.61
P  0.4737  0.9029  0.7970  4 O 1.51-1.62
P  0.5509  0.7244  0.4709  4 O 1.53-1.60
P  0.6111  0.4633  0.1529  4 O 1.49-1.63
P  0.7020  0.9645  0.1579  4 O 1.51-1.62
P  0.7531  0.2214  0.4649  4 O 1.52-1.61
P  0.8338  0.4036  0.7983  4 O 1.51-1.62
P  0.8552  0.8192  0.8038  4 O 1.52-1.62
P  0.9562  0.8681  0.2822  4 O 1.52-1.62
P  0.9750  0.2837  0.2841  4 O 1.51-1.62
O  0.0050  0.7504  0.8154  2 P 1.62
O  0.0441  0.9609  0.1858  1 P 1.53
O  0.0472  0.6189  0.0354  1 P 1.55
O  0.0719  0.3225  0.5997  1 P 1.52
O  0.0749  0.1624  0.8805  1 P 1.54
O  0.0794  0.1776  0.3537  1 P 1.55
O  0.1184  0.0314  0.6204  1 P 1.53
O  0.1348  0.8620  0.9620  1 P 1.51
O  0.1796  0.3642  0.9627  1 P 1.51
O  0.1927  0.5402  0.6378  1 P 1.54
O  0.2206  0.6939  0.3456  1 P 1.53
O  0.2355  0.6603  0.8743  1 P 1.55
O  0.2508  0.8143  0.6017  1 P 1.54
O  0.2576  0.1166  0.0405  1 P 1.55
O  0.2690  0.4533  0.1871  1 P 1.54
O  0.3070  0.2443  0.8197  2 P 1.61-1.63
O  0.3203  0.3674  0.4170  1 P 1.50
O  0.3261  0.9343  0.3139  1 P 1.57
O  0.3267  0.9619  0.7461  2 P 1.61-1.62
O  0.3465  0.7863  0.1511  1 P 1.51
O  0.3468  0.0610  0.5192  1 P 1.54
O  0.3744  0.2154  0.2664  1 P 1.58
O  0.4334  0.4710  0.8216  1 P 1.59
O  0.4699  0.6335  0.5745  1 P 1.53
O  0.4727  0.9062  0.9307  1 P 1.51
O  0.4777  0.7218  0.3436  2 P 1.60-1.62
O  0.4854  0.7538  0.7722  1 P 1.56
O  0.4886  0.3217  0.6675  1 P 1.51
O  0.5071  0.4398  0.2684  2 P 1.61-1.63
O  0.5406  0.5681  0.0457  1 P 1.57
O  0.5503  0.2365  0.8921  1 P 1.52
O  0.5606  0.8784  0.4779  1 P 1.54
O  0.5795  0.0241  0.2141  1 P 1.54
O  0.5798  0.0028  0.7264  1 P 1.54
O  0.6132  0.1542  0.4520  1 P 1.55
O  0.6379  0.3265  0.1223  1 P 1.49
O  0.6779  0.8280  0.1217  1 P 1.51
O  0.6899  0.6574  0.4639  1 P 1.53
O  0.7286  0.5096  0.7297  1 P 1.56
O  0.7319  0.5350  0.2014  1 P 1.54
O  0.7398  0.3677  0.4863  1 P 1.52
O  0.7666  0.7267  0.9004  1 P 1.54
O  0.7691  0.0687  0.0515  1 P 1.55
O  0.8070  0.9375  0.2716  2 P 1.62
O  0.8150  0.2588  0.7709  1 P 1.54
O  0.8171  0.8215  0.6720  1 P 1.52
O  0.8269  0.2289  0.3357  2 P 1.61-1.62
O  0.8374  0.1200  0.5601  1 P 1.54
O  0.8372  0.4095  0.9318  1 P 1.51
O  0.8653  0.9670  0.8322  1 P 1.56
O  0.9418  0.7214  0.2526  1 P 1.56
O  0.9716  0.2802  0.1504  1 P 1.51
O  0.9733  0.5685  0.5226  1 P 1.54
O  0.9806  0.4607  0.7477  2 P 1.62
O  0.9941  0.4287  0.3121  1 P 1.54
O  0.9947  0.8652  0.4141  1 P 1.52

Values from the calculation:
- E (MP2020): -348.8 eV/f.u.
- Calculated total energy: -6.8192 eV/atom

MnSeO3 | GGA+U | relaxed

Unit cell a=8.1905 b=8.4919 c=10.6542 alpha=90.00 beta=125.01 gamma=90.00
Last column: nearest neighbours and their distance in Å.
Sites, in units of the cell vectors:
Mn  0.0246  0.2048  0.0145  5 O 2.13-2.27
Mn  0.0246  0.2952  0.5145  5 O 2.13-2.27
Mn  0.3038  0.1205  0.8759  5 O 2.14-2.23
Mn  0.3038  0.3795  0.3759  5 O 2.14-2.23
Mn  0.6962  0.6205  0.6241  5 O 2.14-2.23
Mn  0.6962  0.8795  0.1241  5 O 2.14-2.23
Mn  0.9754  0.7048  0.4855  5 O 2.13-2.27
Mn  0.9754  0.7952  0.9855  5 O 2.13-2.27
Se  0.1361  0.5029  0.8307  3 O 1.73-1.76
Se  0.1361  0.9971  0.3307  3 O 1.73-1.76
Se  0.4339  0.6301  0.2108  3 O 1.70-1.74
Se  0.4339  0.8699  0.7108  3 O 1.70-1.74
Se  0.5661  0.1301  0.2892  3 O 1.70-1.74
Se  0.5661  0.3699  0.7892  3 O 1.70-1.74
Se  0.8639  0.0029  0.6693  3 O 1.73-1.76
Se  0.8639  0.4971  0.1693  3 O 1.73-1.76
O  0.0295  0.5112  0.3704  1 Se 1.76
O  0.0295  0.9888  0.8704  1 Se 1.76
O  0.0327  0.0883  0.6418  1 Se 1.73
O  0.0327  0.4117  0.1418  1 Se 1.73
O  0.1442  0.1858  0.3959  1 Se 1.73
O  0.1442  0.3142  0.8959  1 Se 1.73
O  0.2885  0.7062  0.6544  1 Se 1.70
O  0.2885  0.7938  0.1544  1 Se 1.70
O  0.3373  0.2092  0.2334  1 Se 1.74
O  0.3373  0.2908  0.7334  1 Se 1.74
O  0.4717  0.5843  0.3853  1 Se 1.74
O  0.4717  0.9157  0.8853  1 Se 1.74
O  0.5283  0.0843  0.1147  1 Se 1.74
O  0.5283  0.4157  0.6147  1 Se 1.74
O  0.6627  0.7092  0.2666  1 Se 1.74
O  0.6627  0.7908  0.7666  1 Se 1.74
O  0.7115  0.2062  0.8456  1 Se 1.70
O  0.7115  0.2938  0.3456  1 Se 1.70
O  0.8558  0.6858  0.1041  1 Se 1.73
O  0.8558  0.8142  0.6041  1 Se 1.73
O  0.9673  0.5883  0.8582  1 Se 1.73
O  0.9673  0.9117  0.3582  1 Se 1.73
O  0.9705  0.0112  0.1296  1 Se 1.76
O  0.9705  0.4888  0.6296  1 Se 1.76

Values from the calculation:
- E (MP2020): -35.8 eV/f.u.
- Calculated total energy: -6.4054 eV/atom

CeVO4 | GGA+U | relaxed

Unit cell a=6.7329 b=7.2567 c=8.3482 alpha=90.00 beta=125.04 gamma=90.00
Last column: nearest neighbours and their distance in Å.
Sites, in units of the cell vectors:
Ce  0.1855  0.1533  0.2834  8 O 2.46-2.70
Ce  0.1855  0.3467  0.7834  8 O 2.46-2.70
Ce  0.8145  0.6533  0.2166  8 O 2.46-2.70
Ce  0.8145  0.8467  0.7166  8 O 2.46-2.70
V  0.3097  0.6634  0.1993  4 O 1.74-1.76
V  0.3097  0.8366  0.6993  4 O 1.74-1.76
V  0.6903  0.1634  0.3007  4 O 1.74-1.76
V  0.6903  0.3366  0.8007  4 O 1.74-1.76
O  0.1039  0.6544  0.6113  1 V 1.74
O  0.1039  0.8456  0.1113  1 V 1.74
O  0.1707  0.0077  0.7537  1 V 1.76
O  0.1707  0.4923  0.2537  1 V 1.76
O  0.3469  0.6045  0.0161  1 V 1.74
O  0.3469  0.8955  0.5161  1 V 1.74
O  0.3880  0.2198  0.1183  1 V 1.75
O  0.3880  0.2802  0.6183  1 V 1.75
O  0.6120  0.7198  0.3817  1 V 1.75
O  0.6120  0.7802  0.8817  1 V 1.75
O  0.6531  0.1045  0.4839  1 V 1.74
O  0.6531  0.3955  0.9839  1 V 1.74
O  0.8293  0.5077  0.7463  1 V 1.76
O  0.8293  0.9923  0.2463  1 V 1.76
O  0.8961  0.1544  0.8887  1 V 1.74
O  0.8961  0.3456  0.3887  1 V 1.74

Values from the calculation:
- E (MP2020): -53.4 eV/f.u.
- Calculated total energy: -8.1553 eV/atom

Mg14CrBiO16 | GGA+U | relaxed

Unit cell a=8.7811 b=8.7811 c=4.4064 alpha=90.00 beta=90.00 gamma=90.00
Last column: nearest neighbours and their distance in Å.
Sites, in units of the cell vectors:
Mg  0.0000  0.2476  0.0000  6 O 2.17-2.22
Mg  0.0000  0.5000  0.5000  6 O 2.05-2.20
Mg  0.0000  0.7524  0.0000  6 O 2.17-2.22
Mg  0.2336  0.5000  0.0000  5 O 2.05-2.20
Mg  0.2403  0.2403  0.5000  6 O 2.12-2.28
Mg  0.2403  0.7597  0.5000  6 O 2.12-2.28
Mg  0.2476  0.0000  0.0000  6 O 2.17-2.22
Mg  0.5000  0.0000  0.5000  6 O 2.05-2.20
Mg  0.5000  0.2336  0.0000  5 O 2.05-2.20
Mg  0.5000  0.7664  0.0000  5 O 2.05-2.20
Mg  0.7524  0.0000  0.0000  6 O 2.17-2.22
Mg  0.7597  0.2403  0.5000  6 O 2.12-2.28
Mg  0.7597  0.7597  0.5000  6 O 2.12-2.28
Mg  0.7664  0.5000  0.0000  5 O 2.05-2.20
Cr  0.0000  0.0000  0.5000  6 O 2.20-2.30
Bi  0.5000  0.5000  0.5000  6 O 2.20-2.34
O  0.0000  0.0000  0.0000  4 Mg 2.17, 2 Cr 2.20
O  0.0000  0.2620  0.5000  5 Mg 2.09-2.21, 1 Cr 2.30
O  0.0000  0.5000  0.0000  6 Mg 2.05-2.22
O  0.0000  0.7380  0.5000  5 Mg 2.09-2.21, 1 Cr 2.30
O  0.2340  0.5000  0.5000  5 Mg 2.05-2.28
O  0.2512  0.2512  0.0000  6 Mg 2.19-2.21
O  0.2512  0.7488  0.0000  6 Mg 2.19-2.21
O  0.2620  0.0000  0.5000  5 Mg 2.09-2.21, 1 Cr 2.30
O  0.5000  0.0000  0.0000  6 Mg 2.05-2.22
O  0.5000  0.2340  0.5000  5 Mg 2.05-2.28
O  0.5000  0.5000  0.0000  2 Bi 2.20, 4 Mg 2.34
O  0.5000  0.7660  0.5000  5 Mg 2.05-2.28
O  0.7380  0.0000  0.5000  5 Mg 2.09-2.21, 1 Cr 2.30
O  0.7488  0.2512  0.0000  6 Mg 2.19-2.21
O  0.7488  0.7488  0.0000  6 Mg 2.19-2.21
O  0.7660  0.5000  0.5000  5 Mg 2.05-2.28

Values from the calculation:
- E (MP2020): -201.5 eV/f.u.
- Calculated total energy: -5.8922 eV/atom

Li4Ti2V3Co3O16 | GGA+U | relaxed

Unit cell a=5.8831 b=5.8944 c=9.5861 alpha=89.67 beta=89.61 gamma=60.43
Last column: nearest neighbours and their distance in Å.
Sites, in units of the cell vectors:
Li  0.0000  0.0000  0.0000  4 O 1.83-1.99
Li  0.0055  0.9979  0.4990  4 O 1.82-2.00
Li  0.3345  0.3222  0.4024  4 O 1.97-2.00
Li  0.6723  0.6641  0.8988  4 O 1.97-1.99
Ti  0.3146  0.3426  0.0043  4 O 1.86-2.04
Ti  0.6710  0.6677  0.5062  4 O 1.90-2.06
V  0.6602  0.1683  0.7283  4 O 1.88-1.93
V  0.8071  0.3459  0.2241  4 O 1.80-2.01
V  0.8211  0.8243  0.2249  4 O 1.87-1.96
Co  0.1742  0.1732  0.7191  6 O 1.93-2.15
Co  0.1784  0.6540  0.7201  6 O 1.98-2.06
Co  0.3385  0.8329  0.2158  6 O 2.02-2.13
O  0.0467  0.4750  0.8477  1 Li 1.98, 2 Co 1.99-2.00, 1 Ti 2.04
O  0.1495  0.1841  0.1024  1 Ti 1.89, 1 Li 1.97, 1 V 2.10, 1 Co 2.10
O  0.1653  0.6621  0.0955  1 Ti 1.86, 1 Li 1.96
O  0.3404  0.8220  0.5976  1 Ti 1.90, 1 Li 1.96, 1 Co 2.04
O  0.3568  0.3109  0.6106  1 V 1.92, 2 Co 1.93-2.05, 1 Li 2.00
O  0.4854  0.4758  0.8441  1 V 1.93, 1 Co 1.98, 1 Li 1.98
O  0.4904  0.0365  0.8478  1 V 1.91, 1 Li 1.97, 1 Co 2.04
O  0.5335  0.9501  0.3531  1 V 1.91, 1 Li 1.97, 1 Ti 2.06, 1 Co 2.08
O  0.5357  0.4943  0.3444  1 V 1.80, 1 Li 1.98
O  0.6615  0.1709  0.1031  1 Li 1.99, 2 V 2.01-2.13, 1 Ti 2.02
O  0.6942  0.6618  0.1063  2 V 1.87-1.99, 1 Li 1.99
O  0.8310  0.3337  0.5980  1 Ti 1.92, 1 Li 1.97, 1 Co 2.11, 1 V 2.11
O  0.8403  0.8230  0.6041  1 Ti 1.91, 1 Li 2.00, 1 Co 2.06
O  0.9636  0.5157  0.3453  2 V 1.96-2.03, 1 Li 1.98, 1 Ti 2.14
O  0.9833  0.9978  0.3096  1 Li 1.82, 2 V 1.90-1.96, 1 Co 2.02
O  0.9936  0.0098  0.8089  1 Li 1.83, 1 V 1.88, 2 Co 1.95-2.02

Values from the calculation:
- Distance to the lowest polymorph of the same formula: 0.0 meV/atom
- E (MP2020): -217.4 eV/f.u.
- Calculated total energy: -7.0135 eV/atom

> The highest calculated total energy belongs to which entry?

Mg14CrBiO16

> Which of these has the lowest calculated total energy?

CeVO4